Below is a relaxed Na10Mg4Nb4Si7S5O48 crystal, with properties calculated at the PBE level.

Geometry as CIF:
```
data_Na10Mg4Nb4Si7S5O48
_symmetry_space_group_name_H-M 'P 1'
_symmetry_Int_Tables_number 1
_symmetry_space_group_name_Hall 'P 1'
_cell_length_a 9.035
_cell_length_b 15.548
_cell_length_c 22.555
_cell_angle_alpha 89.91
_cell_angle_beta 89.92
_cell_angle_gamma 89.90
loop_
_atom_site_label
_atom_site_type_symbol
_atom_site_fract_x
_atom_site_fract_y
_atom_site_fract_z
Na1 Na 0.000 0.000 0.000
Na2 Na 0.000 0.333 0.332
Na3 Na 0.001 0.668 0.664
Na4 Na 0.041 0.653 0.321
Na5 Na 0.070 0.008 0.322
Na6 Na 0.077 0.340 0.659
Na7 Na 0.166 0.842 0.160
Na8 Na 0.172 0.510 0.822
Na9 Na 0.203 0.152 0.821
Na10 Na 0.351 0.674 0.912
Na11 Na 0.361 0.338 0.578
Na12 Na 0.365 0.998 0.246
Na13 Na 0.371 0.994 0.748
Na14 Na 0.373 0.336 0.084
Na15 Na 0.389 0.675 0.414
Na16 Na 0.500 0.168 0.664
Na17 Na 0.539 0.154 0.321
Na18 Na 0.541 0.820 0.988
Na19 Na 0.577 0.176 0.996
Na20 Na 0.578 0.840 0.659
Na21 Na 0.665 0.340 0.161
Na22 Na 0.669 0.010 0.827
Na23 Na 0.705 0.653 0.821
Na24 Na 0.742 0.668 0.165
Na25 Na 0.855 0.499 0.251
Na26 Na 0.859 0.178 0.914
Na27 Na 0.861 0.838 0.578
Na28 Na 0.872 0.494 0.748
Na29 Na 0.879 0.173 0.416
Na30 Na 0.885 0.835 0.082
Mg1 Mg 0.355 0.661 0.055
Mg2 Mg 0.360 0.329 0.721
Mg3 Mg 0.366 0.990 0.388
Mg4 Mg 0.382 0.326 0.221
Mg5 Mg 0.383 0.991 0.889
Mg6 Mg 0.386 0.663 0.553
Mg7 Mg 0.855 0.492 0.388
Mg8 Mg 0.862 0.162 0.055
Mg9 Mg 0.862 0.828 0.722
Mg10 Mg 0.878 0.491 0.888
Mg11 Mg 0.882 0.829 0.222
Mg12 Mg 0.886 0.163 0.554
Nb1 Nb 0.366 0.325 0.427
Nb2 Nb 0.372 0.664 0.759
Nb3 Nb 0.372 0.995 0.095
Nb4 Nb 0.373 0.660 0.262
Nb5 Nb 0.377 0.327 0.926
Nb6 Nb 0.381 0.997 0.593
Nb7 Nb 0.863 0.822 0.427
Nb8 Nb 0.864 0.494 0.097
Nb9 Nb 0.867 0.161 0.259
Nb10 Nb 0.872 0.163 0.760
Nb11 Nb 0.875 0.823 0.928
Nb12 Nb 0.880 0.497 0.593
Si1 Si 0.013 0.016 0.152
Si2 Si 0.013 0.347 0.485
Si3 Si 0.019 0.683 0.820
Si4 Si 0.075 0.333 0.821
Si5 Si 0.080 0.664 0.155
Si6 Si 0.165 0.163 0.654
Si7 Si 0.167 0.832 0.322
Si8 Si 0.225 0.182 0.321
Si9 Si 0.230 0.848 0.989
Si10 Si 0.238 0.518 0.653
Si11 Si 0.503 0.518 0.152
Si12 Si 0.513 0.846 0.487
Si13 Si 0.517 0.183 0.819
Si14 Si 0.573 0.164 0.153
Si15 Si 0.575 0.832 0.821
Si16 Si 0.665 0.335 0.321
Si17 Si 0.665 0.663 0.654
Si18 Si 0.667 0.999 0.987
Si19 Si 0.725 0.681 0.319
Si20 Si 0.729 0.351 0.987
Si21 Si 0.738 0.018 0.653
S1 S 0.017 0.974 0.823
S2 S 0.020 0.308 0.156
S3 S 0.020 0.642 0.489
S4 S 0.080 0.997 0.489
S5 S 0.163 0.497 0.988
S6 S 0.225 0.810 0.655
S7 S 0.226 0.144 0.989
S8 S 0.230 0.474 0.323
S9 S 0.517 0.809 0.156
S10 S 0.518 0.475 0.822
S11 S 0.520 0.143 0.489
S12 S 0.581 0.497 0.489
S13 S 0.725 0.640 0.989
S14 S 0.725 0.974 0.323
S15 S 0.726 0.309 0.655
O1 O 0.041 0.175 0.318
O2 O 0.043 0.844 0.983
O3 O 0.044 0.510 0.648
O4 O 0.046 0.816 0.380
O5 O 0.053 0.188 0.603
O6 O 0.054 0.150 0.716
O7 O 0.064 0.486 0.041
O8 O 0.067 0.822 0.666
O9 O 0.067 0.847 0.264
O10 O 0.068 0.157 0.998
O11 O 0.070 0.490 0.331
O12 O 0.075 0.509 0.934
O13 O 0.168 0.009 0.434
O14 O 0.175 0.993 0.831
O15 O 0.176 0.323 0.165
O16 O 0.176 0.347 0.764
O17 O 0.177 0.654 0.497
O18 O 0.182 0.987 0.542
O19 O 0.187 0.688 0.102
O20 O 0.188 0.649 0.216
O21 O 0.196 0.317 0.879
O22 O 0.201 0.006 0.150
O23 O 0.203 0.670 0.818
O24 O 0.204 0.345 0.484
O25 O 0.249 0.757 0.603
O26 O 0.251 0.094 0.935
O27 O 0.254 0.248 0.382
O28 O 0.254 0.580 0.715
O29 O 0.254 0.911 0.050
O30 O 0.255 0.416 0.984
O31 O 0.255 0.423 0.271
O32 O 0.261 0.571 0.995
O33 O 0.261 0.739 0.318
O34 O 0.267 0.073 0.648
O35 O 0.268 0.916 0.329
O36 O 0.283 0.241 0.661
O37 O 0.285 0.572 0.597
O38 O 0.294 0.421 0.661
O39 O 0.294 0.900 0.934
O40 O 0.296 0.233 0.267
O41 O 0.297 0.434 0.377
O42 O 0.299 0.102 0.042
O43 O 0.301 0.770 0.710
O44 O 0.302 0.090 0.333
O45 O 0.302 0.896 0.652
O46 O 0.303 0.562 0.320
O47 O 0.305 0.230 0.986
O48 O 0.313 0.756 0.995
O49 O 0.435 0.092 0.829
O50 O 0.437 0.561 0.820
O51 O 0.438 0.895 0.154
O52 O 0.443 0.230 0.487
O53 O 0.444 0.753 0.495
O54 O 0.444 0.767 0.209
O55 O 0.447 0.422 0.161
O56 O 0.447 0.434 0.877
O57 O 0.449 0.101 0.544
O58 O 0.453 0.230 0.763
O59 O 0.456 0.902 0.434
O60 O 0.460 0.570 0.096
O61 O 0.467 0.246 0.160
O62 O 0.470 0.914 0.827
O63 O 0.477 0.073 0.149
O64 O 0.478 0.911 0.549
O65 O 0.480 0.738 0.818
O66 O 0.482 0.571 0.496
O67 O 0.484 0.094 0.436
O68 O 0.485 0.246 0.881
O69 O 0.487 0.583 0.213
O70 O 0.490 0.415 0.486
O71 O 0.490 0.424 0.770
O72 O 0.495 0.760 0.101
O73 O 0.538 0.343 0.983
O74 O 0.542 0.675 0.317
O75 O 0.544 0.011 0.648
O76 O 0.547 0.317 0.379
O77 O 0.547 0.981 0.044
O78 O 0.552 0.687 0.603
O79 O 0.555 0.649 0.716
O80 O 0.566 0.656 0.996
O81 O 0.567 0.018 0.930
O82 O 0.568 0.322 0.666
O83 O 0.568 0.993 0.331
O84 O 0.571 0.344 0.262
O85 O 0.671 0.509 0.437
O86 O 0.675 0.493 0.830
O87 O 0.676 0.821 0.166
O88 O 0.678 0.154 0.496
O89 O 0.678 0.182 0.097
O90 O 0.678 0.845 0.765
O91 O 0.680 0.486 0.543
O92 O 0.688 0.150 0.214
O93 O 0.689 0.814 0.881
O94 O 0.699 0.511 0.148
O95 O 0.701 0.172 0.818
O96 O 0.704 0.844 0.484
O97 O 0.749 0.257 0.603
O98 O 0.752 0.924 0.270
O99 O 0.755 0.081 0.715
O100 O 0.757 0.747 0.380
O101 O 0.758 0.593 0.936
O102 O 0.764 0.906 0.983
O103 O 0.765 0.240 0.317
O104 O 0.765 0.411 0.049
O105 O 0.767 0.573 0.648
O106 O 0.783 0.741 0.661
O107 O 0.784 0.076 0.993
O108 O 0.785 0.072 0.597
O109 O 0.787 0.403 0.933
O110 O 0.787 0.409 0.327
O111 O 0.791 0.255 0.995
O112 O 0.791 0.726 0.262
O113 O 0.792 0.600 0.044
O114 O 0.795 0.921 0.661
O115 O 0.797 0.934 0.377
O116 O 0.799 0.729 0.988
O117 O 0.801 0.269 0.710
O118 O 0.803 0.396 0.652
O119 O 0.805 0.062 0.320
O120 O 0.812 0.593 0.333
O121 O 0.938 0.061 0.820
O122 O 0.940 0.395 0.152
O123 O 0.941 0.591 0.832
O124 O 0.942 0.730 0.487
O125 O 0.943 0.254 0.494
O126 O 0.945 0.270 0.211
O127 O 0.947 0.921 0.161
O128 O 0.948 0.935 0.878
O129 O 0.949 0.601 0.544
O130 O 0.952 0.726 0.762
O131 O 0.960 0.741 0.161
O132 O 0.961 0.399 0.428
O133 O 0.962 0.064 0.094
O134 O 0.974 0.416 0.828
O135 O 0.976 0.412 0.546
O136 O 0.978 0.574 0.147
O137 O 0.981 0.239 0.818
O138 O 0.982 0.071 0.496
O139 O 0.982 0.079 0.214
O140 O 0.984 0.747 0.879
O141 O 0.985 0.592 0.436
O142 O 0.989 0.257 0.103
O143 O 0.990 0.916 0.486
O144 O 0.990 0.923 0.771
```

Summary:
The value obtained for the total magnetization is 0.00 μB per atom. As for the raw total energy: -1578.3 eV per cell.

***

Below is a relaxed LiAg4P4O12 crystal, with properties calculated at the PBE level.

Geometry as CIF:
```
data_LiAg4P4O12
_symmetry_space_group_name_H-M 'P 1'
_symmetry_Int_Tables_number 1
_symmetry_space_group_name_Hall 'P 1'
_cell_length_a 4.255
_cell_length_b 5.783
_cell_length_c 13.331
_cell_angle_alpha 79.38
_cell_angle_beta 88.98
_cell_angle_gamma 87.64
loop_
_atom_site_label
_atom_site_type_symbol
_atom_site_fract_x
_atom_site_fract_y
_atom_site_fract_z
Li1 Li 0.000 0.000 0.000
Ag1 Ag 0.435 0.808 0.210
Ag2 Ag 0.591 0.849 0.645
Ag3 Ag 0.897 0.226 0.731
Ag4 Ag 0.925 0.121 0.236
P1 P 0.039 0.704 0.860
P2 P 0.396 0.355 0.537
P3 P 0.538 0.477 0.997
P4 P 0.890 0.543 0.394
O1 O 0.053 0.448 0.308
O2 O 0.134 0.547 0.486
O3 O 0.154 0.951 0.857
O4 O 0.252 0.116 0.565
O5 O 0.304 0.504 0.899
O6 O 0.368 0.558 0.084
O7 O 0.538 0.453 0.623
O8 O 0.650 0.341 0.447
O9 O 0.692 0.238 0.004
O10 O 0.723 0.780 0.375
O11 O 0.788 0.682 0.954
O12 O 0.909 0.639 0.766
```

Summary:
The value obtained for the energy above the most stable polymorph in this dataset is 4 meV per atom. The value obtained for the total magnetization is 0.00 μB per atom. As for the raw total energy: -126.7 eV per cell.

***

Below is a relaxed Li2TmTl crystal, with properties calculated at the PBE level.

Geometry as CIF:
```
data_Li2TmTl
_symmetry_space_group_name_H-M 'F m -3 m'
_symmetry_Int_Tables_number 225
_symmetry_space_group_name_Hall '-F 4 2 3'
_cell_length_a 6.794
_cell_length_b 6.794
_cell_length_c 6.794
_cell_angle_alpha 90.00
_cell_angle_beta 90.00
_cell_angle_gamma 90.00
loop_
_atom_site_label
_atom_site_type_symbol
_atom_site_fract_x
_atom_site_fract_y
_atom_site_fract_z
Li1 Li 0.250 0.250 0.250
Tm1 Tm 0.000 0.000 0.000
Tl1 Tl 0.000 0.000 0.500
```

Summary:
The value obtained for the total magnetization is 0.00 μB per atom. As for the raw total energy: -45.8 eV per cell.